{"formula": "LiMg", "functional": "meta-GGA r2SCAN", "state": "optimized geometry", "lattice_angstrom": [[5.405, -1.670, 0.000], [5.405, 1.670, 0.000], [-2.320, 0.000, 6.770]], "species": ["Li", "Li", "Li", "Mg", "Mg", "Mg"], "fractional_positions": [[0.000, 0.000, 0.000], [0.342, 0.342, 0.151], [0.658, 0.658, 0.849], [0.000, 0.000, 0.500], [0.326, 0.326, 0.687], [0.674, 0.674, 0.313]], "delta_e_f_ev_per_fu": -0.08}